No. 1
First-principles (PBE+U) data for a relaxed CaCrF6 crystal, as listed in Materials Project.

The structure belongs to space group R-3 (No. 148, hexagonal axes); the cell edges are 5.5428, 5.5428 and 14.3891 Å and the angles 90.00°, 90.00° and 120.00°. The inequivalent atoms are Ca at (0.0000, 0.0000, 0.0000), Cr at (0.0000, 0.0000, 0.5000) and F at (0.0382, 0.6155, 0.2417).



No. 2
First-principles (PBE+U) data for a relaxed Mg2Nb2VO8 crystal, as listed in Materials Project.

The structure belongs to space group C2/c (No. 15); the cell edges are 19.262, 6.048 and 5.234 Å and the angles 90.00°, 90.50° and 90.00°. The inequivalent atoms are Mg at (0.228, 0.143, 0.253), Nb at (0.117, 0.332, 0.755), V at (0.000, 0.149, 0.250), O at (0.059, 0.126, 0.906), O at (0.072, 0.388, 0.419), O at (0.188, 0.395, 0.042) and O at (0.192, 0.146, 0.616).



Number 1: formation energy from the elements -3.2903 eV/atom. Number 2: formation energy from the elements -2.9492 eV/atom.